## NaTi2O4 (PBE-GGA)

Data for crystalline NaTi2O4 at its relaxed geometry.

Cell lengths 6.165, 6.165, 6.165 Å; angles 60.00, 60.00, 60.00 degrees
Sites, in units of the cell vectors:
O 0.320 0.893 0.893
O 0.893 0.893 0.893
O 0.357 0.357 0.930
O 0.893 0.893 0.320
O 0.357 0.930 0.357
O 0.930 0.357 0.357
Ti 0.625 0.125 0.125
Ti 0.125 0.625 0.125
Ti 0.125 0.125 0.625
Ti 0.125 0.125 0.125
Na 0.750 0.750 0.750
Na 0.500 0.500 0.500
O 0.357 0.357 0.357
O 0.893 0.320 0.893

## Properties
The value obtained for the energy is -8.010 eV per atom. The formation energy is -3130 meV per atom. The value obtained for the energy relative to the lowest polymorph listed for this composition is 0.07 eV/f.u.